(1)
Material: KBaC20
Method: DFT, PBE
State: relaxed

a b c (Å): 9.8373 9.8373 9.8373
angles (deg): 109.98 109.36 109.08
Last column: nearest neighbours and their distance in Å.
Sites, in units of the cell vectors:
K 0.0000 0.0000 0.0000  22 C 3.14-3.48
K 0.2726 0.0581 0.7854  20 C 3.16-3.46
K 0.2726 0.4872 0.2146  20 C 3.16-3.46
Ba 0.0666 0.7797 0.2869  22 C 3.16-3.47
Ba 0.4928 0.7797 0.7131  22 C 3.16-3.47
Ba 0.5541 0.5541 0.0000  22 C 3.14-3.48
C 0.0066 0.1092 0.3559  3 C 1.44-1.45
C 0.0066 0.6507 0.8974  3 C 1.44-1.45
C 0.0218 0.2139 0.8079  3 C 1.44-1.45
C 0.0446 0.2513 0.3333  3 C 1.44
C 0.0446 0.7113 0.7932  3 C 1.44
C 0.0685 0.1344 0.5225  3 C 1.44
C 0.0685 0.5460 0.9341  3 C 1.44
C 0.0857 0.5220 0.4363  3 C 1.44-1.45
C 0.0857 0.6494 0.5637  3 C 1.44-1.45
C 0.1489 0.3401 0.8089  3 C 1.44-1.45
C 0.1488 0.4177 0.4755  3 C 1.44-1.45
C 0.1488 0.6732 0.7310  3 C 1.44-1.45
C 0.1733 0.2997 0.6657  3 C 1.44-1.45
C 0.1733 0.5076 0.8736  3 C 1.44-1.45
C 0.2104 0.4414 0.6412  3 C 1.44-1.45
C 0.2104 0.5691 0.7690  3 C 1.44-1.45
C 0.3444 0.1129 0.3593  3 C 1.44
C 0.3444 0.9851 0.2315  3 C 1.44
C 0.3823 0.0470 0.1278  3 C 1.43-1.45
C 0.3823 0.2545 0.3352  3 C 1.43-1.45
C 0.4059 0.1366 0.5246  3 C 1.44-1.45
C 0.4060 0.2139 0.1921  3 C 1.44-1.45
C 0.4059 0.8814 0.2694  3 C 1.44-1.45
C 0.4678 0.0318 0.5640  3 C 1.44-1.45
C 0.4678 0.9038 0.4360  3 C 1.44-1.45
C 0.4856 0.0081 0.0659  3 C 1.43-1.44
C 0.4856 0.4197 0.4775  3 C 1.43-1.44
C 0.5098 0.3031 0.6667  3 C 1.44
C 0.5098 0.8431 0.2066  3 C 1.44
C 0.5312 0.3401 0.1911  3 C 1.44-1.45
C 0.5474 0.4458 0.6446  3 C 1.44-1.45
C 0.5474 0.9028 0.1016  3 C 1.44-1.45
C 0.6119 0.1344 0.0659  3 C 1.44
C 0.6120 0.1366 0.7306  3 C 1.44-1.45
C 0.6119 0.5460 0.4775  3 C 1.44
C 0.6120 0.8814 0.4754  3 C 1.44-1.45
C 0.6340 0.2997 0.1264  3 C 1.44-1.45
C 0.6340 0.5076 0.3343  3 C 1.44-1.45
C 0.6364 0.3031 0.7934  3 C 1.44
C 0.6364 0.8431 0.3333  3 C 1.44
C 0.7140 0.5889 0.7481  3 C 1.44-1.45
C 0.7140 0.9659 0.1251  3 C 1.44-1.45
C 0.7533 0.1092 0.1026  3 C 1.44-1.45
C 0.7533 0.6507 0.6441  3 C 1.44-1.45
C 0.7536 0.1129 0.7685  3 C 1.44
C 0.7536 0.9851 0.6407  3 C 1.44
C 0.8001 0.4414 0.2310  3 C 1.44-1.45
C 0.8001 0.5691 0.3588  3 C 1.44-1.45
C 0.8012 0.4458 0.8984  3 C 1.44-1.45
C 0.8012 0.9028 0.3554  3 C 1.44-1.45
C 0.8408 0.5889 0.8749  3 C 1.44-1.45
C 0.8408 0.9659 0.2519  3 C 1.44-1.45
C 0.9181 0.2513 0.2068  3 C 1.44
C 0.9181 0.7113 0.6667  3 C 1.44
C 0.9193 0.0470 0.6648  3 C 1.43-1.45
C 0.9193 0.2545 0.8722  3 C 1.43-1.45
C 0.9422 0.0081 0.5225  3 C 1.43-1.44
C 0.9422 0.4177 0.2690  3 C 1.44-1.45
C 0.9422 0.4197 0.9341  3 C 1.43-1.44
C 0.9422 0.6732 0.5245  3 C 1.44-1.45



(2)
Material: Ag2S
Method: DFT, PBE
State: relaxed

Output
**Largest piezoelectric modulus**: 0.79 C/m²

a b c (Å): 4.4568 6.2660 6.1869
angles (deg): 90.00 133.47 90.00
Last column: nearest neighbours and their distance in Å.
Sites, in units of the cell vectors:
Ag 0.0000 0.0660 0.0000  3 S 2.54-2.64
Ag 0.0000 0.9340 0.5000  3 S 2.54-2.64
Ag 0.2800 0.4006 0.6833  3 S 2.54-2.60
Ag 0.2800 0.5994 0.1833  3 S 2.54-2.60
S 0.5989 0.2520 0.4854  6 Ag 2.54-2.64
S 0.5989 0.7480 0.9854  6 Ag 2.54-2.64



(3)
Material: HgBrN
Method: DFT, PBE
State: relaxed

a b c (Å): 4.0452 4.4458 4.6477
angles (deg): 90.00 90.00 90.00
Last column: nearest neighbours and their distance in Å.
Sites, in units of the cell vectors:
Hg 0.0000 0.0000 0.0000  2 N 2.12
Br 0.5000 0.5000 0.7250  2 N 2.31
N 0.5000 0.0000 0.8617  2 Hg 2.12, 2 Br 2.31



(4)
Material: SiO2
Method: DFT, PBE
State: relaxed

a b c (Å): 12.6465 12.6465 12.6465
angles (deg): 90.00 90.00 90.00
Last column: nearest neighbours and their distance in Å.
Sites, in units of the cell vectors:
Si 0.0607 0.2356 0.5956  4 O 1.58-1.71
Si 0.0607 0.2644 0.9044  4 O 1.58-1.71
Si 0.0607 0.5956 0.2356  4 O 1.58-1.71
Si 0.0607 0.9044 0.2644  4 O 1.58-1.71
Si 0.0956 0.5607 0.7644  4 O 1.58-1.71
Si 0.0956 0.7356 0.9393  4 O 1.58-1.71
Si 0.0956 0.7644 0.5607  4 O 1.58-1.71
Si 0.0956 0.9393 0.7356  4 O 1.58-1.71
Si 0.2356 0.0607 0.5956  4 O 1.58-1.71
Si 0.2356 0.4393 0.9044  4 O 1.58-1.71
Si 0.2356 0.5956 0.0607  4 O 1.58-1.71
Si 0.2356 0.9044 0.4393  4 O 1.58-1.71
Si 0.2644 0.0607 0.9044  4 O 1.58-1.71
Si 0.2644 0.4393 0.5956  4 O 1.58-1.71
Si 0.2644 0.5956 0.4393  4 O 1.58-1.71
Si 0.2644 0.9044 0.0607  4 O 1.58-1.71
Si 0.4044 0.5607 0.7356  4 O 1.58-1.71
Si 0.4044 0.7356 0.5607  4 O 1.58-1.71
Si 0.4044 0.7644 0.9393  4 O 1.58-1.71
Si 0.4044 0.9393 0.7644  4 O 1.58-1.71
Si 0.4393 0.2356 0.9044  4 O 1.58-1.71
Si 0.4393 0.2644 0.5956  4 O 1.58-1.71
Si 0.4393 0.5956 0.2644  4 O 1.58-1.71
Si 0.4393 0.9044 0.2356  4 O 1.58-1.71
Si 0.5607 0.0956 0.7644  4 O 1.58-1.71
Si 0.5607 0.4044 0.7356  4 O 1.58-1.71
Si 0.5607 0.7356 0.4044  4 O 1.58-1.71
Si 0.5607 0.7644 0.0956  4 O 1.58-1.71
Si 0.5956 0.0607 0.2356  4 O 1.58-1.71
Si 0.5956 0.2356 0.0607  4 O 1.58-1.71
Si 0.5956 0.2644 0.4393  4 O 1.58-1.71
Si 0.5956 0.4393 0.2644  4 O 1.58-1.71
Si 0.7356 0.0956 0.9393  4 O 1.58-1.71
Si 0.7356 0.4044 0.5607  4 O 1.58-1.71
Si 0.7356 0.5607 0.4044  4 O 1.58-1.71
Si 0.7356 0.9393 0.0956  4 O 1.58-1.71
Si 0.7644 0.0956 0.5607  4 O 1.58-1.71
Si 0.7644 0.4044 0.9393  4 O 1.58-1.71
Si 0.7644 0.5607 0.0956  4 O 1.58-1.71
Si 0.7644 0.9393 0.4044  4 O 1.58-1.71
Si 0.9044 0.0607 0.2644  4 O 1.58-1.71
Si 0.9044 0.2356 0.4393  4 O 1.58-1.71
Si 0.9044 0.2644 0.0607  4 O 1.58-1.71
Si 0.9044 0.4393 0.2356  4 O 1.58-1.71
Si 0.9393 0.0956 0.7356  4 O 1.58-1.71
Si 0.9393 0.4044 0.7644  4 O 1.58-1.71
Si 0.9393 0.7356 0.0956  4 O 1.58-1.71
Si 0.9393 0.7644 0.4044  4 O 1.58-1.71
O 0.0000 0.1330 0.6330  2 Si 1.58
O 0.0000 0.1674 0.8326  2 Si 1.71
O 0.0000 0.3326 0.6674  2 Si 1.71
O 0.0000 0.3670 0.8670  2 Si 1.58
O 0.0000 0.6330 0.1330  2 Si 1.58
O 0.0000 0.6674 0.3326  2 Si 1.71
O 0.0000 0.8326 0.1674  2 Si 1.71
O 0.0000 0.8670 0.3670  2 Si 1.58
O 0.0283 0.0283 0.2373  2 Si 1.65
O 0.0283 0.2373 0.0283  2 Si 1.65
O 0.0283 0.2627 0.4717  2 Si 1.65
O 0.0283 0.4717 0.2627  2 Si 1.65
O 0.0993 0.6844 0.8156  2 Si 1.69
O 0.0993 0.8156 0.6844  2 Si 1.69
O 0.1330 0.0000 0.6330  2 Si 1.58
O 0.1330 0.5000 0.8670  2 Si 1.58
O 0.1330 0.6330 0.0000  2 Si 1.58
O 0.1330 0.8670 0.5000  2 Si 1.58
O 0.1674 0.0000 0.8326  2 Si 1.71
O 0.1674 0.5000 0.6674  2 Si 1.71
O 0.1674 0.6674 0.5000  2 Si 1.71
O 0.1674 0.8326 0.0000  2 Si 1.71
O 0.1844 0.1844 0.5993  2 Si 1.69
O 0.1844 0.3156 0.9007  2 Si 1.69
O 0.1844 0.5993 0.1844  2 Si 1.69
O 0.1844 0.9007 0.3156  2 Si 1.69
O 0.2373 0.0283 0.0283  2 Si 1.65
O 0.2373 0.4717 0.4717  2 Si 1.65
O 0.2627 0.0283 0.4717  2 Si 1.65
O 0.2627 0.4717 0.0283  2 Si 1.65
O 0.3156 0.1844 0.9007  2 Si 1.69
O 0.3156 0.3156 0.5993  2 Si 1.69
O 0.3156 0.5993 0.3156  2 Si 1.69
O 0.3156 0.9007 0.1844  2 Si 1.69
O 0.3326 0.0000 0.6674  2 Si 1.71
O 0.3326 0.5000 0.8326  2 Si 1.71
O 0.3326 0.6674 0.0000  2 Si 1.71
O 0.3326 0.8326 0.5000  2 Si 1.71
O 0.3670 0.0000 0.8670  2 Si 1.58
O 0.3670 0.5000 0.6330  2 Si 1.58
O 0.3670 0.6330 0.5000  2 Si 1.58
O 0.3670 0.8670 0.0000  2 Si 1.58
O 0.4007 0.6844 0.6844  2 Si 1.69
O 0.4007 0.8156 0.8156  2 Si 1.69
O 0.4717 0.0283 0.2627  2 Si 1.65
O 0.4717 0.2373 0.4717  2 Si 1.65
O 0.4717 0.2627 0.0283  2 Si 1.65
O 0.4717 0.4717 0.2373  2 Si 1.65
O 0.5000 0.1330 0.8670  2 Si 1.58
O 0.5000 0.1674 0.6674  2 Si 1.71
O 0.5000 0.3326 0.8326  2 Si 1.71
O 0.5000 0.3670 0.6330  2 Si 1.58
O 0.5000 0.6330 0.3670  2 Si 1.58
O 0.5000 0.6674 0.1674  2 Si 1.71
O 0.5000 0.8326 0.3326  2 Si 1.71
O 0.5000 0.8670 0.1330  2 Si 1.58
O 0.5283 0.5283 0.7627  2 Si 1.65
O 0.5283 0.7373 0.9717  2 Si 1.65
O 0.5283 0.7627 0.5283  2 Si 1.65
O 0.5283 0.9717 0.7373  2 Si 1.65
O 0.5993 0.1844 0.1844  2 Si 1.69
O 0.5993 0.3156 0.3156  2 Si 1.69
O 0.6330 0.0000 0.1330  2 Si 1.58
O 0.6330 0.1330 0.0000  2 Si 1.58
O 0.6330 0.3670 0.5000  2 Si 1.58
O 0.6330 0.5000 0.3670  2 Si 1.58
O 0.6674 0.0000 0.3326  2 Si 1.71
O 0.6674 0.1674 0.5000  2 Si 1.71
O 0.6674 0.3326 0.0000  2 Si 1.71
O 0.6674 0.5000 0.1674  2 Si 1.71
O 0.6844 0.0993 0.8156  2 Si 1.69
O 0.6844 0.4007 0.6844  2 Si 1.69
O 0.6844 0.6844 0.4007  2 Si 1.69
O 0.6844 0.8156 0.0993  2 Si 1.69
O 0.7373 0.5283 0.9717  2 Si 1.65
O 0.7373 0.9717 0.5283  2 Si 1.65
O 0.7627 0.5283 0.5283  2 Si 1.65
O 0.7627 0.9717 0.9717  2 Si 1.65
O 0.8156 0.0993 0.6844  2 Si 1.69
O 0.8156 0.4007 0.8156  2 Si 1.69
O 0.8156 0.6844 0.0993  2 Si 1.69
O 0.8156 0.8156 0.4007  2 Si 1.69
O 0.8326 0.0000 0.1674  2 Si 1.71
O 0.8326 0.1674 0.0000  2 Si 1.71
O 0.8326 0.3326 0.5000  2 Si 1.71
O 0.8326 0.5000 0.3326  2 Si 1.71
O 0.8670 0.0000 0.3670  2 Si 1.58
O 0.8670 0.1330 0.5000  2 Si 1.58
O 0.8670 0.3670 0.0000  2 Si 1.58
O 0.8670 0.5000 0.1330  2 Si 1.58
O 0.9007 0.1844 0.3156  2 Si 1.69
O 0.9007 0.3156 0.1844  2 Si 1.69
O 0.9717 0.5283 0.7373  2 Si 1.65
O 0.9717 0.7373 0.5283  2 Si 1.65
O 0.9717 0.7627 0.9717  2 Si 1.65
O 0.9717 0.9717 0.7627  2 Si 1.65



no.,total DFT energy (no corrections) (hartree per atom)
1,-0.306
2,-0.121
3,-0.089
4,-0.273